! NaLi3Fe4Si8O24 PBE+U optimized geometry; values from VASP
! Formation energy ... -63.32 kcal/mol of atoms
! Symmetry ... P2 (3)
! Calculated volume ... 435.9 Å³/cell
&SYSTEM
  ibrav = 0, nat = 40, ntyp = 5
/
ATOMIC_SPECIES
Na 22.99 Na.upf
Li 6.94 Li.upf
Fe 55.84 Fe.upf
Si 28.09 Si.upf
O 16.00 O.upf
CELL_PARAMETERS angstrom
8.797 0.000 0.000
0.000 5.364 0.000
0.000 2.063 9.239
ATOMIC_POSITIONS angstrom
Na 6.956 3.713 4.619
Li 2.361 0.000 0.000
Li 2.045 1.031 4.619
Li 6.434 2.682 0.000
Fe 3.509 3.713 4.619
Fe 7.901 0.000 0.000
Fe 5.266 1.031 4.619
Fe 0.894 2.682 0.000
Si 0.799 4.437 2.714
Si 5.170 2.789 7.351
Si 0.799 2.990 6.525
Si 5.170 4.638 1.887
Si 8.009 5.689 6.538
Si 3.609 1.948 1.890
Si 8.009 1.737 2.701
Si 3.609 5.479 7.349
O 0.006 5.776 3.269
O 4.402 4.145 7.896
O 0.006 1.651 5.969
O 4.402 3.282 1.342
O 0.009 4.341 5.994
O 4.386 0.606 1.322
O 0.009 3.086 3.244
O 4.386 6.820 7.917
O 2.256 4.554 3.395
O 6.652 2.902 8.003
O 2.256 2.873 5.844
O 6.652 4.524 1.236
O 6.527 5.639 5.901
O 2.135 1.843 1.227
O 6.527 1.788 3.338
O 2.135 5.584 8.011
O 0.758 4.439 1.063
O 5.086 2.762 5.703
O 0.758 2.988 8.176
O 5.086 4.665 3.535
O 8.049 5.678 8.188
O 3.637 1.960 3.543
O 8.049 1.748 1.051
O 3.637 5.467 5.696